Material: Ca2Si
Method: DFT, PBE-GGA
State: relaxed

Crystal system: cubic
ΔE_f: -421 meV per atom
Calculated total energy: -10.77 eV per formula unit

a = 5.0691 Å, b = 5.0691 Å, c = 5.0691 Å
α = 60.00°, β = 60.00°, γ = 60.00°
Last column: nearest neighbours and their distance in Å.
Sites, in units of the cell vectors:
Ca1 0.2500 0.2500 0.2500  4 Si 3.10
Ca2 0.7500 0.7500 0.7500  4 Si 3.10
Si1 0.0000 0.0000 0.0000  8 Ca 3.10

---

Material: Eu2SbAu
Method: DFT, PBE-GGA
State: relaxed

Crystal system: cubic
ΔE_f: -955 meV per atom
Calculated total energy: -31.74 eV per formula unit

a = 5.4512 Å, b = 5.4512 Å, c = 5.4512 Å
α = 60.00°, β = 60.00°, γ = 60.00°
Last column: nearest neighbours and their distance in Å.
Sites, in units of the cell vectors:
Eu1 0.2500 0.2500 0.2500  4 Au 3.34, 4 Sb 3.34
Eu2 0.7500 0.7500 0.7500  4 Au 3.34, 4 Sb 3.34
Sb1 0.0000 0.0000 0.0000  8 Eu 3.34
Au1 0.5000 0.5000 0.5000  8 Eu 3.34

---

Material: BaSr4
Method: DFT, PBE-GGA
State: relaxed

Total magnetic moment: 0.1 Bohr magnetons per cell
Crystal system: trigonal
ΔE_f: -6 meV per atom
Calculated total energy: -8.71 eV per formula unit

a = 17.8068 Å, b = 17.8068 Å, c = 17.8068 Å
α = 13.87°, β = 13.87°, γ = 13.87°
Last column: nearest neighbours and their distance in Å.
Sites, in units of the cell vectors:
Ba1 0.0000 0.0000 0.0000  6 Ba 4.30, 6 Sr 4.35
Sr1 0.1999 0.1999 0.1999  12 Sr 4.28-4.30
Sr2 0.4010 0.4010 0.4010  9 Sr 4.28-4.30, 3 Ba 4.35
Sr3 0.5990 0.5990 0.5990  9 Sr 4.28-4.30, 3 Ba 4.35
Sr4 0.8001 0.8001 0.8001  12 Sr 4.28-4.30

---

Material: CaV2S4
Method: DFT, PBE-GGA
State: relaxed

Excess energy over the best structure of this formula in the dataset: 0.0 kJ/mol of atoms
Total magnetic moment: 8.0 Bohr magnetons per cell
Crystal system: tetragonal
ΔE_f: -1357 meV per atom
Calculated total energy: -44.21 eV per formula unit

a = 7.6409 Å, b = 7.6409 Å, c = 7.6409 Å
α = 123.52°, β = 123.52°, γ = 84.01°
Last column: nearest neighbours and their distance in Å.
Sites, in units of the cell vectors:
Ca1 0.3750 0.6250 0.7500  4 S 2.64
Ca2 0.6250 0.3750 0.2500  4 S 2.64
V1 0.0000 0.0000 0.0000  6 S 2.47-2.50
V2 0.0000 0.0000 0.5000  6 S 2.47-2.50
V3 0.0000 0.5000 0.0000  6 S 2.47-2.50
V4 0.5000 0.0000 0.5000  6 S 2.47-2.50
S1 0.1981 0.2200 0.9781  3 V 2.47-2.50, 1 Ca 2.64
S2 0.2200 0.1981 0.4781  3 V 2.47-2.50, 1 Ca 2.64
S3 0.2200 0.7418 0.0219  3 V 2.47-2.50, 1 Ca 2.64
S4 0.2582 0.7800 0.4781  3 V 2.47-2.50, 1 Ca 2.64
S5 0.7418 0.2200 0.5219  3 V 2.47-2.50, 1 Ca 2.64
S6 0.7800 0.2582 0.9781  3 V 2.47-2.50, 1 Ca 2.64
S7 0.7800 0.8019 0.5219  3 V 2.47-2.50, 1 Ca 2.64
S8 0.8019 0.7800 0.0219  3 V 2.47-2.50, 1 Ca 2.64

---

Material: Sm12Al7Si
Method: DFT, PBE-GGA
State: relaxed

Total magnetic moment: 2.0 Bohr magnetons per cell
Crystal system: tetragonal
ΔE_f: -341 meV per atom
Calculated total energy: -95.16 eV per formula unit

a = 11.4920 Å, b = 11.4920 Å, c = 11.4920 Å
α = 117.69°, β = 117.69°, γ = 94.06°
Last column: nearest neighbours and their distance in Å.
Sites, in units of the cell vectors:
Sm1 0.0610 0.9297 0.2637  1 Si 3.05, 4 Al 3.12-3.27
Sm2 0.0703 0.3340 0.1313  1 Si 3.05, 4 Al 3.12-3.27
Sm3 0.1485 0.6485 0.5000  4 Al 3.07-3.13, 1 Sm 3.18
Sm4 0.1660 0.4297 0.8687  1 Si 3.05, 4 Al 3.12-3.27
Sm5 0.1683 0.3317 0.5000  5 Al 3.22-3.58
Sm6 0.2027 0.9390 0.8687  1 Si 3.05, 4 Al 3.12-3.27
Sm7 0.2973 0.1660 0.7363  1 Si 3.05, 4 Al 3.12-3.27
Sm8 0.3317 0.8317 0.1634  5 Al 3.22-3.58
Sm9 0.3340 0.2027 0.2637  1 Si 3.05, 4 Al 3.12-3.27
Sm10 0.3515 0.8515 0.5000  4 Al 3.07-3.13, 1 Sm 3.18
Sm11 0.4297 0.5610 0.2637  1 Si 3.05, 4 Al 3.12-3.27
Sm12 0.4390 0.7027 0.8687  1 Si 3.05, 4 Al 3.12-3.27
Sm13 0.5610 0.2973 0.1313  1 Si 3.05, 4 Al 3.12-3.27
Sm14 0.5703 0.4390 0.7363  1 Si 3.05, 4 Al 3.12-3.27
Sm15 0.6485 0.1485 0.5000  4 Al 3.07-3.13, 1 Sm 3.18
Sm16 0.6660 0.7973 0.7363  1 Si 3.05, 4 Al 3.12-3.27
Sm17 0.6683 0.1683 0.8366  5 Al 3.22-3.58
Sm18 0.7027 0.8340 0.2637  1 Si 3.05, 4 Al 3.12-3.27
Sm19 0.7973 0.0610 0.1313  1 Si 3.05, 4 Al 3.12-3.27
Sm20 0.8317 0.6683 0.5000  5 Al 3.22-3.58
Sm21 0.8340 0.5703 0.1313  1 Si 3.05, 4 Al 3.12-3.27
Sm22 0.8515 0.3515 0.5000  4 Al 3.07-3.13, 1 Sm 3.18
Sm23 0.9297 0.6660 0.8687  1 Si 3.05, 4 Al 3.12-3.27
Sm24 0.9390 0.0703 0.7363  1 Si 3.05, 4 Al 3.12-3.27
Al1 0.0000 0.0000 0.0000  8 Sm 3.27
Al2 0.0274 0.8837 0.5000  1 Al 2.79
Al3 0.1163 0.6163 0.1437  1 Al 2.79
Al4 0.1187 0.6187 0.7374  6 Sm 3.07-3.12
Al5 0.3813 0.1187 0.5000  6 Sm 3.07-3.12
Al6 0.3837 0.5274 0.5000  1 Al 2.79
Al7 0.4726 0.9726 0.8563  1 Al 2.79
Al8 0.5000 0.5000 0.0000  8 Sm 3.27
Al9 0.5274 0.0274 0.1437  1 Al 2.79
Al10 0.6163 0.4726 0.5000  1 Al 2.79
Al11 0.6187 0.8813 0.5000  6 Sm 3.07-3.12
Al12 0.8813 0.3813 0.2626  6 Sm 3.07-3.12
Al13 0.8837 0.3837 0.8563  1 Al 2.79
Al14 0.9726 0.1163 0.5000  1 Al 2.79
Si1 0.2500 0.2500 0.0000  8 Sm 3.05
Si2 0.7500 0.7500 0.0000  8 Sm 3.05

---

Material: Zr2N2O
Method: DFT, PBE-GGA
State: relaxed

Crystal system: triclinic
ΔE_f: -2187 meV per atom
Calculated total energy: -48.97 eV per formula unit

a = 8.8694 Å, b = 8.8743 Å, c = 8.8800 Å
α = 109.41°, β = 109.41°, γ = 109.53°
Last column: nearest neighbours and their distance in Å.
Sites, in units of the cell vectors:
Zr1 0.0000 0.0000 0.0000  4 N 2.18-2.22, 2 O 2.19-2.20
Zr2 0.0049 0.5069 0.4988  5 N 2.15-2.28, 1 O 2.28
Zr3 0.0398 0.2856 0.8286  5 N 2.19-2.27, 1 O 2.23
Zr4 0.2151 0.2506 0.5356  4 N 2.17-2.26, 2 O 2.18-2.24
Zr5 0.2348 0.5288 0.2814  4 N 2.11-2.22, 2 O 2.32
Zr6 0.2531 0.0352 0.7754  5 N 2.13-2.25, 1 O 2.35
Zr7 0.2793 0.8168 0.0375  4 N 2.12-2.20, 2 O 2.33-2.37
Zr8 0.4579 0.7854 0.7508  3 O 2.15-2.27, 3 N 2.15-2.19
Zr9 0.4924 0.5671 0.0718  3 N 2.14-2.25, 3 O 2.16-2.24
Zr10 0.5046 0.0713 0.5720  4 N 2.17-2.24, 2 O 2.20-2.25
Zr11 0.5468 0.2822 0.3212  3 N 2.09-2.22, 3 O 2.17-2.27
Zr12 0.7279 0.7549 0.5372  3 N 2.11-2.14, 3 O 2.22-2.34
Zr13 0.7533 0.0358 0.2866  4 N 2.18-2.23, 2 O 2.18-2.22
Zr14 0.7641 0.5356 0.7871  3 N 2.12-2.15, 3 O 2.23-2.28
Zr15 0.7877 0.3185 0.0340  5 N 2.17-2.28, 1 O 2.24
Zr16 0.9694 0.7950 0.2551  5 N 2.15-2.23, 1 O 2.32
N1 0.0134 0.2651 0.0593  4 Zr 2.12-2.20
N2 0.0205 0.7638 0.0204  4 Zr 2.12-2.23
N3 0.0245 0.5824 0.2971  4 Zr 2.11-2.27
N4 0.2085 0.7645 0.7590  4 Zr 2.18-2.25
N5 0.2205 0.9917 0.5131  4 Zr 2.13-2.26
N6 0.2483 0.5743 0.0537  4 Zr 2.14-2.23
N7 0.2647 0.5017 0.5245  4 Zr 2.17-2.26
N8 0.2998 0.3104 0.8205  4 Zr 2.14-2.27
N9 0.5114 0.0233 0.3187  4 Zr 2.17-2.23
N10 0.5251 0.0661 0.8286  4 Zr 2.15-2.24
N11 0.7395 0.2623 0.2416  4 Zr 2.09-2.28
N12 0.7568 0.8037 0.3266  4 Zr 2.13-2.25
N13 0.7877 0.3021 0.7720  4 Zr 2.12-2.28
N14 0.7918 0.5476 0.5587  4 Zr 2.14-2.23
N15 0.9786 0.9997 0.7434  4 Zr 2.11-2.25
N16 0.9889 0.0507 0.2527  4 Zr 2.18-2.23
O1 0.2863 0.0893 0.0650  4 Zr 2.17-2.35
O2 0.4756 0.4843 0.2710  4 Zr 2.16-2.34
O3 0.4798 0.3082 0.5506  4 Zr 2.18-2.27
O4 0.4964 0.8073 0.5166  4 Zr 2.20-2.32
O5 0.5301 0.7966 0.0115  4 Zr 2.15-2.37
O6 0.7043 0.5253 0.0097  4 Zr 2.23-2.32
O7 0.7137 0.7746 0.8006  4 Zr 2.20-2.34
O8 0.9769 0.2693 0.5565  4 Zr 2.18-2.28

---

Material: HoRe2
Method: DFT, PBE-GGA
State: relaxed

Crystal system: hexagonal
ΔE_f: -247 meV per atom
Calculated total energy: -30.21 eV per formula unit

a = 5.4337 Å, b = 5.4337 Å, c = 8.8313 Å
α = 90.00°, β = 90.00°, γ = 120.00°
Last column: nearest neighbours and their distance in Å.
Sites, in units of the cell vectors:
Ho1 0.3333 0.6667 0.0628  12 Re 3.15-3.19, 4 Ho 3.31-3.33
Ho2 0.3333 0.6667 0.4372  12 Re 3.15-3.19, 4 Ho 3.31-3.33
Ho3 0.6667 0.3333 0.5628  12 Re 3.15-3.19, 4 Ho 3.31-3.33
Ho4 0.6667 0.3333 0.9372  12 Re 3.15-3.19, 4 Ho 3.31-3.33
Re1 0.0000 0.0000 0.0000  6 Re 2.74
Re2 0.0000 0.0000 0.5000  6 Re 2.74
Re3 0.1716 0.3431 0.7500  6 Re 2.64-2.80
Re4 0.1716 0.8284 0.7500  6 Re 2.64-2.80
Re5 0.3431 0.1716 0.2500  6 Re 2.64-2.80
Re6 0.6569 0.8284 0.7500  6 Re 2.64-2.80
Re7 0.8284 0.1716 0.2500  6 Re 2.64-2.80
Re8 0.8284 0.6569 0.2500  6 Re 2.64-2.80

---

Material: HfMg14BO15
Method: DFT, PBE-GGA
State: relaxed

Excess energy over the best structure of this formula in the dataset: 6.8 kJ/mol of atoms
Total magnetic moment: 1.4 Bohr magnetons per cell
Crystal system: orthorhombic
ΔE_f: -2646 meV per atom
Calculated total energy: -184.97 eV per formula unit

a = 4.2681 Å, b = 8.7715 Å, c = 8.6673 Å
α = 90.00°, β = 90.00°, γ = 90.00°
Last column: nearest neighbours and their distance in Å.
Sites, in units of the cell vectors:
Hf1 0.0000 0.0000 0.0000  5 O 2.14-2.30
Mg1 0.0000 0.0000 0.4740  5 O 2.02-2.26
Mg2 0.0000 0.2367 0.7215  5 O 2.05-2.14
Mg3 0.0000 0.2693 0.2463  4 O 2.06-2.14
Mg4 0.0000 0.5000 0.9780  5 O 1.94-2.17
Mg5 0.0000 0.7307 0.2463  4 O 2.06-2.14
Mg6 0.0000 0.7633 0.7215  5 O 2.05-2.14
Mg7 0.5000 0.0000 0.2414  4 O 2.08-2.32
Mg8 0.5000 0.0000 0.7214  6 O 2.08-2.24
Mg9 0.5000 0.2550 0.4812  6 O 2.15-2.24
Mg10 0.5000 0.2640 0.9820  6 O 2.08-2.32
Mg11 0.5000 0.5000 0.2500  5 O 2.07-2.17
Mg12 0.5000 0.5000 0.7224  6 O 2.00-2.20
Mg13 0.5000 0.7360 0.9820  6 O 2.08-2.32
Mg14 0.5000 0.7450 0.4812  6 O 2.15-2.24
B1 0.0000 0.5000 0.5372  1 O 1.40
O1 0.0000 0.0000 0.7345  5 Mg 2.08-2.26, 1 Hf 2.30
O2 0.0000 0.2299 0.4849  5 Mg 2.02-2.15
O3 0.0000 0.2531 0.9630  4 Mg 2.10-2.17, 1 Hf 2.24
O4 0.0000 0.5000 0.2022  5 Mg 1.94-2.17
O5 0.0000 0.5000 0.6988  1 B 1.40
O6 0.0000 0.7469 0.9630  4 Mg 2.10-2.17, 1 Hf 2.24
O7 0.0000 0.7701 0.4849  5 Mg 2.02-2.15
O8 0.5000 0.0000 0.4809  6 Mg 2.08-2.24
O9 0.5000 0.0000 0.9798  2 Hf 2.14, 4 Mg 2.24-2.32
O10 0.5000 0.2488 0.7295  6 Mg 2.14-2.20
O11 0.5000 0.2645 0.2326  5 Mg 2.07-2.17
O12 0.5000 0.5000 0.4918  4 Mg 2.00-2.15, 2 B 2.17
O13 0.5000 0.5000 0.9571  5 Mg 2.03-2.14
O14 0.5000 0.7355 0.2326  5 Mg 2.07-2.17
O15 0.5000 0.7512 0.7295  6 Mg 2.14-2.20

---

Material: CaC7N10
Method: DFT, PBE-GGA
State: relaxed

Total magnetic moment: 0.0 Bohr magnetons per cell
Crystal system: monoclinic
ΔE_f: 104 meV per atom
Calculated total energy: -144.48 eV per formula unit

a = 5.8324 Å, b = 5.6556 Å, c = 8.0981 Å
α = 90.00°, β = 106.29°, γ = 90.00°
Last column: nearest neighbours and their distance in Å.
Sites, in units of the cell vectors:
Ca1 0.0000 0.1149 0.0000  10 N 2.49-2.76
Ca2 0.0000 0.8851 0.5000  10 N 2.49-2.76
C1 0.1402 0.3907 0.4007  4 N 1.41-1.54
C2 0.1402 0.6093 0.9007  4 N 1.41-1.54
C3 0.3274 0.3763 0.7133  4 N 1.44-1.47
C4 0.3274 0.6237 0.2133  4 N 1.44-1.47
C5 0.3866 0.0290 0.3477  4 N 1.41-1.52
C6 0.3866 0.9710 0.8477  4 N 1.41-1.52
C7 0.5149 0.3754 0.0132  4 N 1.44-1.49
C8 0.5149 0.6246 0.5132  4 N 1.44-1.49
C9 0.5725 0.0249 0.6557  4 N 1.41-1.53
C10 0.5725 0.9751 0.1557  4 N 1.41-1.53
C11 0.6946 0.3672 0.3171  4 N 1.45-1.47
C12 0.6946 0.6328 0.8171  4 N 1.45-1.47
C13 0.8739 0.3686 0.6357  3 N 1.38-1.51
C14 0.8739 0.6314 0.1357  3 N 1.38-1.51
N1 0.1107 0.4058 0.7696  3 C 1.47-1.54
N2 0.1107 0.5942 0.2696  3 C 1.47-1.54
N3 0.1809 0.1676 0.3357  2 C 1.41
N4 0.1809 0.8324 0.8357  2 C 1.41
N5 0.3138 0.4969 0.5533  3 C 1.45-1.49
N6 0.3138 0.5031 0.0533  3 C 1.45-1.49
N7 0.3484 0.1244 0.6931  3 C 1.44-1.53
N8 0.3484 0.8756 0.1931  3 C 1.44-1.53
N9 0.4664 0.1185 0.0032  3 C 1.46-1.48
N10 0.4664 0.8815 0.5032  3 C 1.46-1.48
N11 0.5280 0.4591 0.8483  3 C 1.44-1.45
N12 0.5280 0.5409 0.3483  3 C 1.44-1.45
N13 0.6098 0.1242 0.3104  3 C 1.46-1.52
N14 0.6098 0.8758 0.8104  3 C 1.46-1.52
N15 0.7367 0.4101 0.1486  3 C 1.46-1.50
N16 0.7367 0.5899 0.6486  3 C 1.46-1.50
N17 0.7848 0.1502 0.6636  2 C 1.38-1.41
N18 0.7848 0.8498 0.1636  2 C 1.38-1.41
N19 0.9133 0.4086 0.4523  3 C 1.45-1.58
N20 0.9133 0.5914 0.9523  3 C 1.45-1.58

---

Material: LiPrSn
Method: DFT, PBE-GGA
State: relaxed

Total magnetic moment: 0.0 Bohr magnetons per cell
Crystal system: cubic
ΔE_f: -502 meV per atom
Calculated total energy: -12.21 eV per formula unit

a = 4.7963 Å, b = 4.7963 Å, c = 4.7963 Å
α = 60.00°, β = 60.00°, γ = 60.00°
Last column: nearest neighbours and their distance in Å.
Sites, in units of the cell vectors:
Li1 0.0000 0.0000 0.0000  4 Sn 2.94, 4 Pr 2.94
Pr1 0.2500 0.2500 0.2500  4 Li 2.94
Sn1 0.7500 0.7500 0.7500  4 Li 2.94

---

Material: Hg3As
Method: DFT, PBE-GGA
State: relaxed

Total magnetic moment: 0.0 Bohr magnetons per cell
Crystal system: hexagonal
ΔE_f: 277 meV per atom
Calculated total energy: -4.46 eV per formula unit

a = 6.1225 Å, b = 6.1225 Å, c = 5.9835 Å
α = 90.00°, β = 90.00°, γ = 120.00°
Last column: nearest neighbours and their distance in Å.
Sites, in units of the cell vectors:
Hg1 0.1669 0.3337 0.2500  4 Hg 3.06, 2 As 3.06
Hg2 0.1669 0.8331 0.2500  4 Hg 3.06, 2 As 3.06
Hg3 0.3337 0.1669 0.7500  4 Hg 3.06, 2 As 3.06
Hg4 0.6663 0.8331 0.2500  4 Hg 3.06, 2 As 3.06
Hg5 0.8331 0.1669 0.7500  4 Hg 3.06, 2 As 3.06
Hg6 0.8331 0.6663 0.7500  4 Hg 3.06, 2 As 3.06
As1 0.3333 0.6667 0.7500  6 Hg 3.06
As2 0.6667 0.3333 0.2500  6 Hg 3.06

---

Material: ZrCl2
Method: DFT, PBE-GGA
State: relaxed

Crystal system: trigonal
ΔE_f: -2054 meV per atom
Largest piezoelectric modulus: 0.16 C/m²
Calculated total energy: -17.18 eV per formula unit

a = 7.1820 Å, b = 7.1820 Å, c = 7.1820 Å
α = 27.52°, β = 27.52°, γ = 27.52°
Last column: nearest neighbours and their distance in Å.
Sites, in units of the cell vectors:
Zr1 0.0000 0.0000 0.0000  6 Cl 2.62
Cl1 0.5836 0.5836 0.5836  3 Zr 2.62
Cl2 0.7497 0.7497 0.7497  3 Zr 2.62